Entry 1:
The following is a DFT calculation (PBE) of a relaxed structure of TiPt.

Output
SG: Pmma, No. 51
Energy of formation: -88.8 kJ/mol of atoms

Geometry as extended XYZ:
```
4
Lattice="2.797 0.000 0.000 0.000 4.628 0.000 0.000 0.000 4.885" Properties=species:S:1:pos:R:3 pbc="T T T"
Ti 1.399 1.157 3.422
Ti 1.399 3.471 1.462
Pt 0.000 1.157 0.927
Pt 0.000 3.471 3.958
```

=====

Entry 2:
The following is a DFT calculation (PBE) of a relaxed structure of Ce2SbO2.

Output
SG: I4/mmm, No. 139
Energy relative to the lowest polymorph listed for this composition: 0 kJ/mol of formula units
Energy with MP2020 corrections: -40.58 eV/cell
Energy of formation: -283.5 kJ/mol of atoms

Geometry as extended XYZ:
```
5
Lattice="-1.138 -1.688 -3.437 3.689 0.478 -1.456 0.375 -5.162 4.733" Properties=species:S:1:pos:R:3 pbc="T T T"
Ce 1.788 -2.395 -1.737
Ce 1.138 -3.977 1.577
Sb 0.000 0.000 0.000
O 2.670 -2.644 0.415
O 0.256 -3.728 -0.575
```

=====

Entry 3:
The following is a DFT calculation (PBE) of a relaxed structure of NaH3C2O5.

Output
SG: P-1, No. 2
Energy with MP2020 corrections: -143.27 eV/cell
Energy of formation: -148.6 kJ/mol of atoms

Geometry as extended XYZ:
```
22
Lattice="1.930 -4.881 -2.299 -3.844 -1.305 5.112 -4.140 0.177 -5.282" Properties=species:S:1:pos:R:3 pbc="T T T"
Na -5.437 -4.512 -3.056
Na -0.617 -1.497 0.587
H -5.863 -2.080 -0.497
H -0.191 -3.928 -1.972
H -2.551 -2.300 3.431
H -3.503 -3.708 -5.899
H -2.596 -5.736 -0.558
H -3.458 -0.273 -1.911
C -3.512 -4.037 -0.127
C -2.542 -1.972 -2.342
C -3.496 -2.841 0.870
C -2.557 -3.168 -3.339
O -4.306 -4.080 -1.067
O -1.748 -1.929 -1.402
O -2.587 -4.946 0.133
O -3.467 -1.062 -2.602
O -2.498 -2.729 1.636
O -3.556 -3.279 -4.105
O -4.500 -2.064 0.803
O -1.554 -3.945 -3.272
O -6.736 -1.858 -0.903
O 0.682 -4.151 -1.566
```

=====

Entry 4:
The following is a DFT calculation (PBE) of a relaxed structure of Ba2Tl2Bi3O10.

Output
SG: P1, No. 1
Energy with MP2020 corrections: -98.79 eV/cell
Energy of formation: -165.0 kJ/mol of atoms

Geometry as extended XYZ:
```
17
Lattice="-0.465 3.481 1.654 -3.031 -1.432 2.161 14.995 -5.865 14.059" Properties=species:S:1:pos:R:3 pbc="T T T"
Ba 7.343 -2.484 13.018
Ba 3.841 -1.430 5.083
Tl 7.153 -2.795 8.981
Tl 3.934 -1.188 9.202
Bi 0.260 0.365 4.927
Bi 10.935 -4.233 13.175
Bi -2.056 0.727 2.083
O 1.158 -1.675 4.834
O 2.695 -0.657 7.682
O 2.387 0.809 4.520
O 6.226 -2.109 7.240
O 13.885 -4.153 14.429
O 8.789 -4.709 13.567
O 8.484 -3.278 10.431
O 10.029 -2.235 13.263
O 5.591 -1.528 10.423
O -1.586 2.199 3.686
```